Record 1
Ca2VClO4: relaxed, r²SCAN.

Calculated values
The calculated formation energy is -3.05 eV per atom. For the size of the total moment, the calculation gives 0.000 μB per cell.

Unit cell a=6.3153 b=7.1479 c=11.0568 alpha=90.00 beta=90.00 gamma=90.00
Positions (direct):
Ca  0.1216  0.2500  0.0000
Ca  0.1216  0.2500  0.5000
Ca  0.3587  0.5284  0.2500
Ca  0.3587  0.9716  0.7500
Ca  0.6413  0.0284  0.2500
Ca  0.6413  0.4716  0.7500
Ca  0.8784  0.7500  0.0000
Ca  0.8784  0.7500  0.5000
V  0.3735  0.7500  0.0000
V  0.3735  0.7500  0.5000
V  0.6265  0.2500  0.0000
V  0.6265  0.2500  0.5000
Cl  0.0112  0.6957  0.7500
Cl  0.0112  0.8043  0.2500
Cl  0.9888  0.1957  0.7500
Cl  0.9888  0.3043  0.2500
O  0.2096  0.5647  0.0292
O  0.2096  0.5647  0.4708
O  0.2096  0.9353  0.5292
O  0.2096  0.9353  0.9708
O  0.4645  0.2304  0.6244
O  0.4645  0.2304  0.8756
O  0.4645  0.2696  0.1244
O  0.4645  0.2696  0.3756
O  0.5355  0.7304  0.6244
O  0.5355  0.7304  0.8756
O  0.5355  0.7696  0.1244
O  0.5355  0.7696  0.3756
O  0.7904  0.0647  0.0292
O  0.7904  0.0647  0.4708
O  0.7904  0.4353  0.5292
O  0.7904  0.4353  0.9708



Record 2
Cu3B5Pt9: relaxed, r²SCAN.

Calculated values
The calculated formation energy is -0.25 eV per atom. For the size of the total moment, the calculation gives 0.000 μB per cell.

Unit cell a=9.0462 b=9.0462 c=2.9604 alpha=90.00 beta=90.00 gamma=120.00
Positions (direct):
Cu  0.0000  0.4578  0.0000
Cu  0.4578  0.0000  0.0000
Cu  0.5422  0.5422  0.0000
B  0.0000  0.8113  0.5000
B  0.1887  0.1887  0.5000
B  0.3333  0.6667  0.0000
B  0.6667  0.3333  0.0000
B  0.8113  0.0000  0.5000
Pt  0.0000  0.1770  0.0000
Pt  0.1770  0.0000  0.0000
Pt  0.1961  0.7343  0.5000
Pt  0.2657  0.4618  0.5000
Pt  0.4618  0.2657  0.5000
Pt  0.5382  0.8039  0.5000
Pt  0.7343  0.1961  0.5000
Pt  0.8039  0.5382  0.5000
Pt  0.8230  0.8230  0.0000



Record 3
NaInTe2: relaxed, r²SCAN.

Calculated values
The calculated formation energy is -0.74 eV per atom. For the size of the total moment, the calculation gives 0.000 μB per cell.

Unit cell a=8.3704 b=8.3704 c=7.2588 alpha=90.00 beta=90.00 gamma=90.00
Positions (direct):
Na  0.0000  0.0000  0.2500
Na  0.0000  0.0000  0.7500
Na  0.5000  0.5000  0.2500
Na  0.5000  0.5000  0.7500
In  0.0000  0.5000  0.2500
In  0.0000  0.5000  0.7500
In  0.5000  0.0000  0.2500
In  0.5000  0.0000  0.7500
Te  0.1832  0.3168  0.0000
Te  0.1832  0.6832  0.5000
Te  0.3168  0.1832  0.5000
Te  0.3168  0.8168  0.0000
Te  0.6832  0.1832  0.0000
Te  0.6832  0.8168  0.5000
Te  0.8168  0.3168  0.5000
Te  0.8168  0.6832  0.0000



Record 4
HgPd: relaxed, r²SCAN.

Calculated values
The calculated formation energy is -0.19 eV per atom. For the size of the total moment, the calculation gives 0.000 μB per cell.

Unit cell a=3.7748 b=4.3295 c=4.3295 alpha=90.00 beta=90.00 gamma=90.00
Positions (direct):
Hg  0.0000  0.0000  0.0000
Hg  0.0000  0.5000  0.5000
Pd  0.5000  0.5000  0.0000
Pd  0.5000  0.0000  0.5000



Record 5
TmMgPt2: relaxed, r²SCAN.

Calculated values
The calculated formation energy is -1.14 eV per atom. For the size of the total moment, the calculation gives 0.000 μB per cell.

Unit cell a=6.6154 b=6.6154 c=6.6154 alpha=90.00 beta=90.00 gamma=90.00
Positions (direct):
Tm  0.0000  0.0000  0.0000
Tm  0.0000  0.5000  0.5000
Tm  0.5000  0.0000  0.5000
Tm  0.5000  0.5000  0.0000
Mg  0.0000  0.0000  0.5000
Mg  0.0000  0.5000  0.0000
Mg  0.5000  0.0000  0.0000
Mg  0.5000  0.5000  0.5000
Pt  0.2500  0.2500  0.2500
Pt  0.2500  0.2500  0.7500
Pt  0.2500  0.7500  0.2500
Pt  0.2500  0.7500  0.7500
Pt  0.7500  0.2500  0.2500
Pt  0.7500  0.2500  0.7500
Pt  0.7500  0.7500  0.2500
Pt  0.7500  0.7500  0.7500



Record 6
Mg2P2O7: relaxed, r²SCAN.

Calculated values
The calculated formation energy is -2.80 eV per atom. For the size of the total moment, the calculation gives 0.000 μB per cell.

Unit cell a=6.9412 b=8.2781 c=9.0488 alpha=90.00 beta=113.85 gamma=90.00
Positions (direct):
Mg  0.1991  0.0609  0.3258
Mg  0.1991  0.4391  0.8258
Mg  0.2671  0.0694  0.8901
Mg  0.2671  0.4306  0.3901
Mg  0.7329  0.5694  0.6099
Mg  0.7329  0.9306  0.1099
Mg  0.8009  0.5609  0.1742
Mg  0.8009  0.9391  0.6742
P  0.0301  0.7262  0.9663
P  0.0301  0.7738  0.4663
P  0.4426  0.7327  0.2596
P  0.4426  0.7673  0.7596
P  0.5574  0.2327  0.2404
P  0.5574  0.2673  0.7404
P  0.9699  0.2262  0.5337
P  0.9699  0.2738  0.0337
O  0.0180  0.0900  0.6556
O  0.0180  0.4100  0.1556
O  0.0519  0.6115  0.3951
O  0.0519  0.8885  0.8951
O  0.1247  0.2366  0.4536
O  0.1247  0.2634  0.9536
O  0.2495  0.6723  0.1003
O  0.2495  0.8277  0.6003
O  0.3788  0.2421  0.2967
O  0.3788  0.2579  0.7967
O  0.3869  0.6099  0.8133
O  0.3869  0.8901  0.3133
O  0.4778  0.5974  0.3814
O  0.4778  0.9026  0.8814
O  0.5222  0.0974  0.1186
O  0.5222  0.4026  0.6186
O  0.6131  0.1099  0.6867
O  0.6131  0.3901  0.1867
O  0.6212  0.7421  0.2033
O  0.6212  0.7579  0.7033
O  0.7505  0.1723  0.3997
O  0.7505  0.3277  0.8997
O  0.8753  0.7366  0.0464
O  0.8753  0.7634  0.5464
O  0.9481  0.1115  0.1049
O  0.9481  0.3885  0.6049
O  0.9820  0.5900  0.8444
O  0.9820  0.9100  0.3444



Record 7
Sr2DyBiO6: relaxed, r²SCAN.

Calculated values
The calculated formation energy is -2.65 eV per atom. For the size of the total moment, the calculation gives 0.000 μB per cell.

Unit cell a=8.4561 b=8.4561 c=8.4561 alpha=90.00 beta=90.00 gamma=90.00
Positions (direct):
Sr  0.2500  0.2500  0.2500
Sr  0.2500  0.2500  0.7500
Sr  0.2500  0.7500  0.2500
Sr  0.2500  0.7500  0.7500
Sr  0.7500  0.2500  0.2500
Sr  0.7500  0.2500  0.7500
Sr  0.7500  0.7500  0.2500
Sr  0.7500  0.7500  0.7500
Dy  0.0000  0.0000  0.0000
Dy  0.0000  0.5000  0.5000
Dy  0.5000  0.0000  0.5000
Dy  0.5000  0.5000  0.0000
Bi  0.0000  0.0000  0.5000
Bi  0.0000  0.5000  0.0000
Bi  0.5000  0.0000  0.0000
Bi  0.5000  0.5000  0.5000
O  0.0344  0.5413  0.7569
O  0.0344  0.9587  0.7431
O  0.0413  0.2431  0.5344
O  0.0413  0.2569  0.9656
O  0.2431  0.5344  0.0413
O  0.2431  0.9656  0.4587
O  0.2569  0.5344  0.4587
O  0.2569  0.9656  0.0413
O  0.4587  0.2431  0.9656
O  0.4587  0.2569  0.5344
O  0.4656  0.5413  0.7431
O  0.4656  0.9587  0.7569
O  0.5344  0.0413  0.2431
O  0.5344  0.4587  0.2569
O  0.5413  0.7431  0.4656
O  0.5413  0.7569  0.0344
O  0.7431  0.0344  0.9587
O  0.7431  0.4656  0.5413
O  0.7569  0.0344  0.5413
O  0.7569  0.4656  0.9587
O  0.9587  0.7431  0.0344
O  0.9587  0.7569  0.4656
O  0.9656  0.0413  0.2569
O  0.9656  0.4587  0.2431



Record 8
PrNi2P2: relaxed, r²SCAN.

Calculated values
The calculated formation energy is -1.03 eV per atom. For the size of the total moment, the calculation gives 0.000 μB per cell.

Unit cell a=3.9595 b=3.9595 c=9.5516 alpha=90.00 beta=90.00 gamma=90.00
Positions (direct):
Pr  0.0000  0.0000  0.0000
Pr  0.5000  0.5000  0.5000
Ni  0.0000  0.5000  0.2500
Ni  0.0000  0.5000  0.7500
Ni  0.5000  0.0000  0.2500
Ni  0.5000  0.0000  0.7500
P  0.0000  0.0000  0.3686
P  0.0000  0.0000  0.6314
P  0.5000  0.5000  0.1314
P  0.5000  0.5000  0.8686



What is the calculated formation energy in the third record? -0.74 eV per atom



Repeat the second record exactly.
Cu3B5Pt9: relaxed, r²SCAN.

Calculated values
The calculated formation energy is -0.25 eV per atom. For the size of the total moment, the calculation gives 0.000 μB per cell.

Unit cell a=9.0462 b=9.0462 c=2.9604 alpha=90.00 beta=90.00 gamma=120.00
Positions (direct):
Cu  0.0000  0.4578  0.0000
Cu  0.4578  0.0000  0.0000
Cu  0.5422  0.5422  0.0000
B  0.0000  0.8113  0.5000
B  0.1887  0.1887  0.5000
B  0.3333  0.6667  0.0000
B  0.6667  0.3333  0.0000
B  0.8113  0.0000  0.5000
Pt  0.0000  0.1770  0.0000
Pt  0.1770  0.0000  0.0000
Pt  0.1961  0.7343  0.5000
Pt  0.2657  0.4618  0.5000
Pt  0.4618  0.2657  0.5000
Pt  0.5382  0.8039  0.5000
Pt  0.7343  0.1961  0.5000
Pt  0.8039  0.5382  0.5000
Pt  0.8230  0.8230  0.0000



Among the records above, which one has the lowest calculated formation energy? Ca2VClO4